{
  "formula": "RbCrH4C4O10",
  "functional": "GGA+U",
  "state": "optimized geometry",
  "cell": [[2.8987, 4.1716, 4.5873], [-6.5830, 1.4837, 2.8111], [-3.5937, -9.0572, 5.8685]],
  "species": ["Rb", "Rb", "O", "O", "O", "O", "O", "O", "O", "O", "O", "O", "O", "O", "O", "O", "O", "O", "O", "O", "O", "O", "C", "C", "C", "C", "C", "C", "C", "C", "H", "H", "H", "H", "H", "H", "H", "H", "Cr", "Cr"],
  "fractional_positions": [[0.7500, 0.7500, 0.5000], [0.2500, 0.2500, 0.5000], [0.1378, 0.7512, 0.1386], [0.6462, 0.3642, 0.6586], [0.1463, 0.4768, 0.6588], [0.8537, 0.5232, 0.3412], [0.6462, 0.9770, 0.6587], [0.7466, 0.9689, 0.0622], [0.3623, 0.3904, 0.8617], [0.3539, 0.0230, 0.3413], [0.3622, 0.7480, 0.8616], [0.2533, 0.0311, 0.9378], [0.1378, 0.1102, 0.1386], [0.2469, 0.4689, 0.0623], [0.8537, 0.1357, 0.3412], [0.8622, 0.2488, 0.8614], [0.6378, 0.6096, 0.1383], [0.3538, 0.6358, 0.3413], [0.8622, 0.8898, 0.8614], [0.7531, 0.5311, 0.9377], [0.1463, 0.8644, 0.6587], [0.6377, 0.2521, 0.1383], [0.7485, 0.0170, 0.7528], [0.2485, 0.5171, 0.7528], [0.2515, 0.7698, 0.2472], [0.2516, 0.9830, 0.2472], [0.7516, 0.4829, 0.2472], [0.7516, 0.2699, 0.2472], [0.2485, 0.7302, 0.7528], [0.7485, 0.2302, 0.7527], [0.2934, 0.9380, 0.8984], [0.7066, 0.8364, 0.1017], [0.7935, 0.6635, 0.8983], [0.2066, 0.3365, 0.1017], [0.2934, 0.1636, 0.8984], [0.7066, 0.0620, 0.1017], [0.7935, 0.4381, 0.8983], [0.2065, 0.5619, 0.1017], [0.9999, 0.0000, 0.0000], [0.4999, 0.5001, 0.0000]],
  "formation_enthalpy_0k_kj_per_mol_fu": -3195,
  "dft_energy_ev_per_atom": -6.742,
  "energy_corrected_mp2020_ev_per_cell": -287.42
}

{
  "formula": "MgMn2O4",
  "functional": "GGA+U",
  "state": "optimized geometry",
  "cell": [[-3.0761, 3.0761, 4.1740], [3.0761, -3.0761, 4.1740], [3.0761, 3.0761, -4.1740]],
  "species": ["Mg", "Mg", "Mn", "Mn", "Mn", "Mn", "O", "O", "O", "O", "O", "O", "O", "O"],
  "fractional_positions": [[0.3750, 0.1250, 0.2500], [0.6250, 0.8750, 0.7500], [0.0000, 0.0000, 0.5000], [0.0000, 0.5000, 0.0000], [0.0000, 0.5000, 0.5000], [0.5000, 0.5000, 0.0000], [0.2029, 0.7199, 0.9530], [0.2199, 0.7669, 0.5170], [0.2501, 0.2971, 0.0170], [0.2669, 0.2499, 0.5470], [0.7331, 0.7501, 0.4530], [0.7499, 0.7029, 0.9830], [0.7801, 0.2331, 0.4830], [0.7971, 0.2801, 0.0470]],
  "formation_enthalpy_0k_kj_per_mol_fu": -1568,
  "dft_energy_ev_per_atom": -7.126,
  "energy_corrected_mp2020_ev_per_cell": -111.93
}

{
  "formula": "FeC3N3O2",
  "functional": "GGA+U",
  "state": "optimized geometry",
  "cell": [[0.0000, 5.4550, 5.4550], [5.4550, 0.0000, 5.4550], [5.4550, 5.4550, 0.0000]],
  "species": ["Fe", "Fe", "C", "C", "C", "C", "C", "C", "N", "N", "N", "N", "N", "N", "O", "O", "O", "O"],
  "fractional_positions": [[0.0000, 0.0000, 0.0000], [0.5000, 0.5000, 0.5000], [0.2013, 0.2013, 0.7987], [0.2013, 0.7987, 0.2013], [0.2013, 0.7987, 0.7987], [0.7987, 0.2013, 0.2013], [0.7987, 0.2013, 0.7987], [0.7987, 0.7987, 0.2013], [0.3086, 0.3086, 0.6914], [0.3086, 0.6914, 0.3086], [0.3086, 0.6914, 0.6914], [0.6914, 0.3086, 0.3086], [0.6914, 0.3086, 0.6914], [0.6914, 0.6914, 0.3086], [0.5739, 0.8087, 0.8087], [0.8087, 0.5739, 0.8087], [0.8087, 0.8087, 0.5739], [0.8087, 0.8087, 0.8087]],
  "formation_enthalpy_0k_kj_per_mol_fu": 708,
  "dft_energy_ev_per_atom": -6.677,
  "energy_corrected_mp2020_ev_per_cell": -127.44
}

{
  "formula": "Mo5O12F3",
  "functional": "GGA+U",
  "state": "optimized geometry",
  "cell": [[5.6000, 0.0000, 0.0000], [0.0849, 6.7904, 0.0000], [2.7579, 1.9557, 7.8856]],
  "species": ["Mo", "Mo", "Mo", "Mo", "Mo", "O", "O", "O", "O", "O", "O", "O", "O", "O", "O", "O", "O", "F", "F", "F"],
  "fractional_positions": [[0.0000, 0.0000, 0.0000], [0.1088, 0.7931, 0.6032], [0.3503, 0.5864, 0.2028], [0.5800, 0.3735, 0.8081], [0.6960, 0.1736, 0.4108], [0.0536, 0.8890, 0.8019], [0.1574, 0.7962, 0.0994], [0.2517, 0.6864, 0.4025], [0.2640, 0.1866, 0.9039], [0.4394, 0.9820, 0.5030], [0.4525, 0.4913, 0.0070], [0.5419, 0.3750, 0.3077], [0.6540, 0.2819, 0.5975], [0.7690, 0.1934, 0.9001], [0.8518, 0.0859, 0.2027], [0.8572, 0.5916, 0.7000], [0.9382, 0.9812, 0.5053], [0.0409, 0.3855, 0.3027], [0.3528, 0.5838, 0.7042], [0.6616, 0.7893, 0.1026]],
  "formation_enthalpy_0k_kj_per_mol_fu": -4035,
  "dft_energy_ev_per_atom": -6.776,
  "energy_corrected_mp2020_ev_per_cell": -161.17
}

{
  "formula": "Li2TiCr3O8",
  "functional": "GGA+U",
  "state": "optimized geometry",
  "cell": [[1.6871, -5.6446, 0.0000], [1.6329, -2.5864, -5.0984], [10.4571, 0.0510, 0.1387]],
  "species": ["O", "O", "O", "O", "O", "O", "O", "O", "O", "O", "O", "O", "O", "O", "O", "O", "Li", "Li", "Li", "Li", "Cr", "Cr", "Cr", "Cr", "Cr", "Cr", "Ti", "Ti"],
  "fractional_positions": [[0.3777, 0.8507, 0.3939], [0.1414, 0.1259, 0.1018], [0.1223, 0.6493, 0.1061], [0.3759, 0.3544, 0.8939], [0.1309, 0.6259, 0.6018], [0.3691, 0.8742, 0.8982], [0.3586, 0.3741, 0.3982], [0.6223, 0.1493, 0.6061], [0.6241, 0.6456, 0.1061], [0.8777, 0.3507, 0.8939], [0.8691, 0.3742, 0.3982], [0.6414, 0.6258, 0.6018], [0.8586, 0.8741, 0.8982], [0.6309, 0.1258, 0.1018], [0.1241, 0.1456, 0.6061], [0.8758, 0.8544, 0.3939], [0.2500, 0.2500, 0.7500], [0.7500, 0.2500, 0.7500], [0.2500, 0.7500, 0.2500], [0.7500, 0.7500, 0.2500], [0.0000, 0.5000, 0.5000], [0.5000, 0.9999, 0.5001], [0.0000, 0.5000, 0.0000], [0.5000, 0.5000, 0.0000], [0.0000, 0.0001, 0.4999], [0.5001, 0.9999, 0.0000], [0.5000, 0.5000, 0.5000], [0.9999, 0.0000, 0.0000]],
  "formation_enthalpy_0k_kj_per_mol_fu": -3385,
  "dft_energy_ev_per_atom": -7.418,
  "energy_corrected_mp2020_ev_per_cell": -230.69
}

{
  "formula": "Li4Cr3NiO8",
  "functional": "GGA+U",
  "state": "optimized geometry",
  "cell": [[5.1097, -2.9508, 0.0000], [5.1097, 2.9508, 0.0000], [-3.4019, 0.0000, 4.8537]],
  "species": ["Li", "Li", "Li", "Li", "Cr", "Cr", "Cr", "Ni", "O", "O", "O", "O", "O", "O", "O", "O"],
  "fractional_positions": [[0.0000, 0.0000, 0.0000], [0.0000, 0.5000, 0.0000], [0.5000, 0.0000, 0.0000], [0.5000, 0.5000, 0.0000], [0.0000, 0.0000, 0.5000], [0.0000, 0.5000, 0.5000], [0.5000, 0.0000, 0.5000], [0.5000, 0.5000, 0.5000], [0.2424, 0.2424, 0.7276], [0.2438, 0.7392, 0.7244], [0.2532, 0.2532, 0.2709], [0.2608, 0.7562, 0.2756], [0.7392, 0.2438, 0.7244], [0.7468, 0.7468, 0.7291], [0.7562, 0.2608, 0.2756], [0.7576, 0.7576, 0.2724]],
  "formation_enthalpy_0k_kj_per_mol_fu": -3366,
  "dft_energy_ev_per_atom": -6.426,
  "energy_corrected_mp2020_ev_per_cell": -116.84
}

{
  "formula": "LiMn3B3O9",
  "functional": "GGA+U",
  "state": "optimized geometry",
  "cell": [[5.2968, 0.0000, 0.0000], [2.2219, 5.3538, 0.0000], [0.2041, 1.1253, 13.0716]],
  "species": ["Li", "Li", "Mn", "Mn", "Mn", "Mn", "Mn", "Mn", "B", "B", "B", "B", "B", "B", "O", "O", "O", "O", "O", "O", "O", "O", "O", "O", "O", "O", "O", "O", "O", "O", "O", "O"],
  "fractional_positions": [[0.1478, 0.3752, 0.2951], [0.8522, 0.6248, 0.7049], [0.0628, 0.6451, 0.0835], [0.2978, 0.6861, 0.5699], [0.3420, 0.0027, 0.7578], [0.6580, 0.9973, 0.2422], [0.7022, 0.3139, 0.4301], [0.9372, 0.3549, 0.9165], [0.1107, 0.1124, 0.1341], [0.2345, 0.2171, 0.5231], [0.4183, 0.4605, 0.7961], [0.5817, 0.5395, 0.2039], [0.7655, 0.7829, 0.4769], [0.8893, 0.8876, 0.8659], [0.0706, 0.0067, 0.8821], [0.0813, 0.2859, 0.4354], [0.1158, 0.2954, 0.0572], [0.1963, 0.3876, 0.7858], [0.2308, 0.0324, 0.5966], [0.2499, 0.0742, 0.2229], [0.4205, 0.3298, 0.5410], [0.4293, 0.6029, 0.1164], [0.4675, 0.6147, 0.7166], [0.5325, 0.3853, 0.2834], [0.5707, 0.3971, 0.8836], [0.5795, 0.6702, 0.4590], [0.7501, 0.9258, 0.7771], [0.7692, 0.9676, 0.4034], [0.8037, 0.6124, 0.2142], [0.8842, 0.7046, 0.9428], [0.9187, 0.7141, 0.5646], [0.9294, 0.9933, 0.1179]],
  "formation_enthalpy_0k_kj_per_mol_fu": -3697,
  "dft_energy_ev_per_atom": -7.569,
  "energy_corrected_mp2020_ev_per_cell": -264.57
}

{
  "formula": "Li2MnCr2O6",
  "functional": "GGA+U",
  "state": "optimized geometry",
  "cell": [[4.3845, -2.5506, 0.0000], [4.3845, 2.5506, 0.0000], [0.0000, 0.0000, 10.1464]],
  "species": ["Li", "Li", "Li", "Li", "Mn", "Mn", "Cr", "Cr", "Cr", "Cr", "O", "O", "O", "O", "O", "O", "O", "O", "O", "O", "O", "O"],
  "fractional_positions": [[0.1539, 0.3461, 0.2500], [0.3461, 0.1539, 0.7500], [0.6539, 0.8461, 0.2500], [0.8461, 0.6539, 0.7500], [0.0000, 0.0000, 0.0000], [0.5000, 0.5000, 0.5000], [0.1637, 0.1637, 0.5000], [0.3363, 0.3363, 0.0000], [0.6637, 0.6637, 0.0000], [0.8363, 0.8363, 0.5000], [0.0053, 0.3252, 0.8944], [0.1748, 0.4947, 0.6056], [0.1819, 0.8181, 0.4001], [0.3181, 0.6819, 0.9001], [0.3252, 0.0053, 0.1056], [0.4947, 0.1748, 0.3944], [0.5053, 0.8252, 0.6056], [0.6748, 0.9947, 0.8944], [0.6819, 0.3181, 0.0999], [0.8181, 0.1819, 0.5999], [0.8252, 0.5053, 0.3944], [0.9947, 0.6748, 0.1056]],
  "formation_enthalpy_0k_kj_per_mol_fu": -2330,
  "dft_energy_ev_per_atom": -6.940,
  "energy_corrected_mp2020_ev_per_cell": -172.25
}

{
  "formula": "Ba2CrO4",
  "functional": "GGA+U",
  "state": "optimized geometry",
  "cell": [[7.7348, 0.0000, 0.0000], [0.0000, 6.0051, 0.0000], [0.0000, 0.0000, 10.7126]],
  "species": ["Ba", "Ba", "Ba", "Ba", "Ba", "Ba", "Ba", "Ba", "Cr", "Cr", "Cr", "Cr", "O", "O", "O", "O", "O", "O", "O", "O", "O", "O", "O", "O", "O", "O", "O", "O"],
  "fractional_positions": [[0.0047, 0.2500, 0.1962], [0.1508, 0.7500, 0.4293], [0.3492, 0.2500, 0.9293], [0.4953, 0.7500, 0.6962], [0.5047, 0.2500, 0.3038], [0.6508, 0.7500, 0.0707], [0.8492, 0.2500, 0.5707], [0.9953, 0.7500, 0.8038], [0.2184, 0.7500, 0.0785], [0.2816, 0.2500, 0.5785], [0.7184, 0.7500, 0.4215], [0.7816, 0.2500, 0.9215], [0.0115, 0.2500, 0.9213], [0.1884, 0.2500, 0.4216], [0.1912, 0.0035, 0.6478], [0.1912, 0.4965, 0.6478], [0.3088, 0.5035, 0.1478], [0.3088, 0.9965, 0.1478], [0.3116, 0.7500, 0.9216], [0.4885, 0.7500, 0.4213], [0.5115, 0.2500, 0.5787], [0.6884, 0.2500, 0.0784], [0.6912, 0.0035, 0.8522], [0.6912, 0.4965, 0.8522], [0.8088, 0.5035, 0.3522], [0.8088, 0.9965, 0.3522], [0.8116, 0.7500, 0.5784], [0.9885, 0.7500, 0.0787]],
  "formation_enthalpy_0k_kj_per_mol_fu": -1845,
  "dft_energy_ev_per_atom": -6.808,
  "energy_corrected_mp2020_ev_per_cell": -209.62
}

{
  "formula": "MgHg8W8O28",
  "functional": "GGA+U",
  "state": "optimized geometry",
  "cell": [[7.4385, 0.0000, 0.0000], [-3.5300, 6.5651, 0.0000], [-3.4866, -1.8779, 14.4774]],
  "species": ["Mg", "Hg", "Hg", "Hg", "Hg", "Hg", "Hg", "Hg", "Hg", "W", "W", "W", "W", "W", "W", "W", "W", "O", "O", "O", "O", "O", "O", "O", "O", "O", "O", "O", "O", "O", "O", "O", "O", "O", "O", "O", "O", "O", "O", "O", "O", "O", "O", "O", "O"],
  "fractional_positions": [[0.0000, 0.0000, 0.0000], [0.1559, 0.2516, 0.5545], [0.1886, 0.5837, 0.9343], [0.3628, 0.8693, 0.0765], [0.3661, 0.2560, 0.4376], [0.6339, 0.7440, 0.5624], [0.6372, 0.1307, 0.9235], [0.8114, 0.4163, 0.0657], [0.8441, 0.7484, 0.4455], [0.1412, 0.1730, 0.8012], [0.1566, 0.6318, 0.3122], [0.3370, 0.8646, 0.6872], [0.3513, 0.3191, 0.1983], [0.6487, 0.6809, 0.8017], [0.6630, 0.1354, 0.3128], [0.8434, 0.3682, 0.6878], [0.8588, 0.8270, 0.1988], [0.0174, 0.6784, 0.1701], [0.0241, 0.2441, 0.6707], [0.1058, 0.6377, 0.7187], [0.1306, 0.0991, 0.2374], [0.1872, 0.2680, 0.0806], [0.1917, 0.1014, 0.9172], [0.2083, 0.8488, 0.5698], [0.2337, 0.5928, 0.4280], [0.2874, 0.5118, 0.2534], [0.2900, 0.0587, 0.7450], [0.3875, 0.9007, 0.3202], [0.4009, 0.4495, 0.8218], [0.4583, 0.6788, 0.6685], [0.4743, 0.1373, 0.1748], [0.5257, 0.8627, 0.8252], [0.5417, 0.3212, 0.3315], [0.5991, 0.5505, 0.1782], [0.6125, 0.0993, 0.6798], [0.7100, 0.9413, 0.2550], [0.7126, 0.4882, 0.7466], [0.7663, 0.4072, 0.5720], [0.7917, 0.1512, 0.4302], [0.8083, 0.8986, 0.0828], [0.8128, 0.7320, 0.9194], [0.8694, 0.9009, 0.7626], [0.8942, 0.3623, 0.2813], [0.9759, 0.7559, 0.3293], [0.9826, 0.3216, 0.8299]],
  "formation_enthalpy_0k_kj_per_mol_fu": -7569,
  "dft_energy_ev_per_atom": -5.999,
  "energy_corrected_mp2020_ev_per_cell": -324.69
}

{
  "formula": "CsTiCoOF5",
  "functional": "GGA+U",
  "state": "optimized geometry",
  "cell": [[7.3045, 0.0000, 0.0000], [0.0000, 7.4856, 0.0000], [0.0000, 0.0000, 10.7038]],
  "species": ["Cs", "Cs", "Cs", "Cs", "Ti", "Ti", "Ti", "Ti", "Co", "Co", "Co", "Co", "O", "O", "O", "O", "F", "F", "F", "F", "F", "F", "F", "F", "F", "F", "F", "F", "F", "F", "F", "F", "F", "F", "F", "F"],
  "fractional_positions": [[0.0000, 0.2499, 0.1213], [0.0000, 0.7501, 0.8787], [0.5000, 0.2499, 0.3787], [0.5000, 0.7501, 0.6213], [0.2500, 0.2492, 0.7500], [0.2500, 0.7508, 0.2500], [0.7500, 0.2492, 0.7500], [0.7500, 0.7508, 0.2500], [0.0000, 0.0000, 0.5000], [0.0000, 0.5000, 0.5000], [0.5000, 0.0000, 0.0000], [0.5000, 0.5000, 0.0000], [0.0000, 0.2497, 0.7887], [0.0000, 0.7503, 0.2113], [0.5000, 0.2497, 0.7113], [0.5000, 0.7503, 0.2887], [0.0000, 0.2503, 0.4285], [0.0000, 0.7497, 0.5715], [0.2088, 0.4360, 0.6248], [0.2088, 0.5640, 0.3752], [0.2112, 0.0628, 0.6236], [0.2112, 0.9372, 0.3764], [0.2888, 0.0628, 0.8764], [0.2888, 0.9372, 0.1236], [0.2912, 0.4360, 0.8752], [0.2912, 0.5640, 0.1248], [0.5000, 0.2503, 0.0715], [0.5000, 0.7497, 0.9285], [0.7088, 0.4360, 0.8752], [0.7088, 0.5640, 0.1248], [0.7112, 0.0628, 0.8764], [0.7112, 0.9372, 0.1236], [0.7888, 0.0628, 0.6236], [0.7888, 0.9372, 0.3764], [0.7912, 0.4360, 0.6248], [0.7912, 0.5640, 0.3752]],
  "formation_enthalpy_0k_kj_per_mol_fu": -2708,
  "dft_energy_ev_per_atom": -5.983,
  "energy_corrected_mp2020_ev_per_cell": -233.93
}

{
  "formula": "NaCo3P3H2O12",
  "functional": "GGA+U",
  "state": "optimized geometry",
  "cell": [[5.9903, -6.1014, 0.0000], [5.9903, 6.1014, 0.0000], [-2.7224, 0.0000, 6.0340]],
  "species": ["Na", "Na", "Co", "Co", "Co", "Co", "Co", "Co", "P", "P", "P", "P", "P", "P", "H", "H", "H", "H", "O", "O", "O", "O", "O", "O", "O", "O", "O", "O", "O", "O", "O", "O", "O", "O", "O", "O", "O", "O", "O", "O", "O", "O"],
  "fractional_positions": [[0.0434, 0.9566, 0.7500], [0.9566, 0.0434, 0.2500], [0.0496, 0.3740, 0.6257], [0.2762, 0.7238, 0.2500], [0.3740, 0.0496, 0.1257], [0.6260, 0.9504, 0.8743], [0.7238, 0.2762, 0.7500], [0.9504, 0.6260, 0.3743], [0.1061, 0.3281, 0.1105], [0.3174, 0.6826, 0.7500], [0.3281, 0.1061, 0.6105], [0.6719, 0.8939, 0.3895], [0.6826, 0.3174, 0.2500], [0.8939, 0.6719, 0.8895], [0.3759, 0.3878, 0.1891], [0.3878, 0.3759, 0.6891], [0.6122, 0.6241, 0.3109], [0.6241, 0.6122, 0.8109], [0.0181, 0.6717, 0.1125], [0.0351, 0.3930, 0.3035], [0.1543, 0.1536, 0.0957], [0.1536, 0.1543, 0.5957], [0.2075, 0.7209, 0.5393], [0.2669, 0.4490, 0.1556], [0.2791, 0.7925, 0.9607], [0.2845, 0.4990, 0.7319], [0.3283, 0.9819, 0.3875], [0.3930, 0.0351, 0.8035], [0.4490, 0.2669, 0.6556], [0.4990, 0.2845, 0.2319], [0.5010, 0.7155, 0.7681], [0.5510, 0.7331, 0.3444], [0.6070, 0.9649, 0.1965], [0.6717, 0.0181, 0.6125], [0.7155, 0.5010, 0.2681], [0.7209, 0.2075, 0.0393], [0.7331, 0.5510, 0.8444], [0.7925, 0.2791, 0.4607], [0.8464, 0.8457, 0.4043], [0.8457, 0.8464, 0.9043], [0.9649, 0.6070, 0.6965], [0.9819, 0.3283, 0.8875]],
  "formation_enthalpy_0k_kj_per_mol_fu": -4357,
  "dft_energy_ev_per_atom": -6.526,
  "energy_corrected_mp2020_ev_per_cell": -300.41
}